Density functional theory data (PBE) for crystalline Ca2H2S2O7 at its relaxed geometry.

Unit cell a=10.7210 b=6.9111 c=9.5195 alpha=90.00 beta=90.00 gamma=90.00
Closest atoms and distances in Å follow each position.
Space group Pbcn (No. 60)
Unique sites:
Ca1 0.1465 0.0026 0.1346 (multiplicity 8)  6 O 2.35-2.58
H1 0.0682 0.3609 0.2263 (multiplicity 8)  1 O 0.98
S1 0.1169 0.3185 0.8874 (multiplicity 8)  3 O 1.54-1.56
O1 0.0000 0.2729 0.2500 (multiplicity 4)  2 H 0.98
O2 0.0615 0.1101 0.8929 (multiplicity 8)  1 S 1.56
O3 0.1983 0.3211 0.0208 (multiplicity 8)  1 S 1.54
O4 0.2067 0.3055 0.7613 (multiplicity 8)  1 S 1.54

Computed properties:
The value obtained for the energy relative to the elements is -29.09 eV per formula unit. The value obtained for the total energy is -5.999 eV per atom.